(1)
A plane-wave DFT calculation with PBE was carried out for a geometry-optimized Na14Si11Sn4Ge4SO48 structure.

Geometry as extended XYZ:
```
246
Lattice="8.919 0.000 0.000 0.010 15.428 0.000 0.108 0.095 22.118" Properties=species:S:1:pos:R:3 pbc="T T T"
Na 0.000 0.000 0.000
Na 0.042 4.601 7.349
Na 0.085 5.202 14.744
Na 0.149 9.881 22.082
Na 0.524 10.056 14.745
Na 0.502 15.208 7.303
Na 1.620 7.454 12.851
Na 1.705 2.440 20.309
Na 1.658 12.608 5.513
Na 1.720 12.651 16.582
Na 1.743 2.377 9.247
Na 1.724 7.397 1.778
Na 2.882 15.251 18.406
Na 2.850 10.026 3.674
Na 3.260 5.112 3.669
Na 3.300 9.836 11.052
Na 3.338 4.649 18.409
Na 3.290 14.927 3.686
Na 3.371 10.357 18.423
Na 4.463 2.576 7.350
Na 4.517 7.246 14.781
Na 4.453 2.054 0.000
Na 4.499 12.365 7.374
Na 4.539 12.927 14.743
Na 4.983 12.704 22.079
Na 4.917 7.455 7.336
Na 4.988 2.334 14.749
Na 6.080 15.172 12.850
Na 6.140 10.094 20.254
Na 6.114 4.881 5.526
Na 6.179 4.936 16.570
Na 6.108 15.169 1.831
Na 6.211 10.100 9.279
Na 7.279 2.282 3.695
Na 7.386 7.514 18.366
Na 7.758 2.120 11.048
Na 7.750 12.898 3.704
Na 7.834 12.399 18.423
Na 7.761 7.185 3.726
Na 7.845 2.633 18.409
Na 8.942 10.307 7.381
Na 8.986 14.970 14.790
Si 0.311 10.283 11.051
Si 0.352 0.145 3.700
Si 0.393 4.469 3.665
Si 0.484 9.662 18.443
Si 0.490 5.321 18.411
Si 2.956 4.596 14.794
Si 2.928 5.223 7.408
Si 2.939 9.653 7.426
Si 2.984 0.200 14.747
Si 3.043 10.316 22.071
Si 3.083 14.994 22.097
Si 3.487 4.998 22.112
Si 3.562 15.224 7.308
Si 3.606 10.025 14.709
Si 4.157 2.257 3.710
Si 4.266 7.517 18.386
Si 4.415 12.652 11.049
Si 4.759 2.561 11.057
Si 4.872 1.961 18.378
Si 4.814 7.755 3.685
Si 4.819 12.353 3.725
Si 4.941 13.072 18.424
Si 7.382 13.044 7.385
Si 7.449 12.365 14.743
Si 7.420 1.895 7.350
Si 7.470 7.861 14.699
Si 7.565 2.671 22.099
Si 8.014 12.701 22.075
Si 7.986 7.462 7.391
Si 8.118 2.308 14.752
Si 8.717 15.266 18.387
Si 8.720 10.019 3.656
Si 8.869 4.927 11.054
Sn 1.653 7.426 5.105
Sn 1.688 12.564 8.807
Sn 1.650 12.607 2.221
Sn 1.747 12.676 19.835
Sn 1.765 12.602 13.288
Sn 6.030 4.798 2.260
Sn 6.046 10.068 1.455
Sn 6.160 4.869 19.822
Sn 6.116 10.042 5.976
Sn 6.150 4.797 8.812
Sn 6.198 10.085 17.006
Sn 6.217 4.856 13.303
Ge 1.512 7.457 9.585
Ge 1.645 2.316 5.949
Ge 1.631 2.336 1.392
Ge 1.710 7.497 16.143
Ge 1.715 2.360 17.010
Ge 1.786 2.501 12.548
Ge 1.895 7.490 20.617
Ge 5.959 15.199 9.559
Ge 6.123 15.183 5.096
Ge 6.177 15.229 16.141
Ge 6.202 15.271 20.679
Ge 6.251 10.215 12.535
S 0.371 14.916 11.050
S 4.829 7.193 11.051
S 7.528 7.216 22.096
O 0.119 2.645 16.071
O 0.112 2.033 13.409
O 0.102 12.880 7.484
O 0.149 12.529 14.563
O 0.138 2.087 7.216
O 0.186 7.707 14.855
O 0.140 2.390 0.158
O 0.509 11.229 9.726
O 0.604 14.071 12.261
O 0.573 3.569 5.032
O 0.567 1.061 2.364
O 0.651 6.260 17.070
O 0.694 8.716 19.773
O 0.752 13.929 18.484
O 0.757 1.174 18.264
O 0.723 11.362 3.574
O 0.761 3.489 11.247
O 0.725 8.682 3.748
O 0.860 6.274 10.871
O 0.986 0.812 11.154
O 0.987 14.293 9.837
O 1.031 14.076 3.599
O 1.047 5.967 3.749
O 1.101 10.937 12.343
O 1.143 3.809 18.267
O 1.146 11.167 18.498
O 1.093 0.781 5.022
O 1.172 9.022 17.091
O 1.148 8.858 10.869
O 1.125 3.799 2.389
O 1.215 6.012 19.698
O 2.240 8.890 21.910
O 2.207 3.976 13.493
O 2.184 5.972 8.649
O 2.262 0.819 16.091
O 2.235 3.735 7.247
O 2.308 14.369 20.801
O 2.280 6.092 14.917
O 2.238 9.102 6.063
O 2.220 10.870 1.285
O 2.305 14.132 14.624
O 2.282 11.158 7.464
O 2.253 0.927 0.163
O 2.569 6.338 21.918
O 2.592 1.125 7.186
O 2.566 3.490 0.171
O 2.643 11.356 14.640
O 2.607 13.897 7.487
O 2.649 8.688 14.861
O 2.736 1.173 13.461
O 2.712 8.675 8.722
O 2.792 3.617 16.096
O 2.896 11.314 20.781
O 2.840 6.110 6.040
O 2.851 13.921 1.284
O 3.140 2.455 11.248
O 3.234 2.144 18.265
O 3.200 7.615 3.757
O 3.197 12.453 3.599
O 3.308 12.900 18.489
O 3.243 2.599 5.028
O 3.265 1.983 2.370
O 3.348 7.202 17.069
O 3.369 7.858 19.687
O 3.366 7.323 10.947
O 3.455 12.289 9.755
O 3.498 12.953 12.372
O 4.316 5.208 1.307
O 4.429 4.639 20.802
O 4.457 10.397 16.049
O 4.464 0.131 8.611
O 4.498 14.871 6.016
O 4.568 9.744 13.402
O 4.586 4.763 14.617
O 4.564 5.086 7.525
O 4.565 9.814 7.344
O 4.633 15.442 14.886
O 4.566 10.171 0.064
O 4.715 15.100 21.929
O 4.957 3.505 9.738
O 4.958 11.366 5.009
O 4.979 8.717 2.401
O 5.059 6.353 12.267
O 5.101 1.065 19.728
O 5.139 13.985 17.079
O 5.123 3.591 3.641
O 5.151 0.948 3.845
O 5.221 8.841 18.336
O 5.240 6.199 18.529
O 5.222 11.208 11.245
O 5.320 13.997 10.859
O 5.440 6.568 9.840
O 5.447 8.523 11.155
O 5.558 3.458 18.453
O 5.556 3.210 12.351
O 5.602 11.569 18.355
O 5.541 8.348 5.018
O 5.541 13.816 3.858
O 5.541 6.294 3.568
O 5.544 11.769 2.386
O 5.615 1.323 17.068
O 5.643 13.722 19.751
O 5.607 1.145 10.860
O 6.670 11.688 13.489
O 6.654 13.736 8.663
O 6.668 1.269 6.032
O 6.739 13.838 14.882
O 6.669 3.182 1.285
O 6.754 8.390 16.069
O 6.766 6.375 14.582
O 6.731 11.538 7.301
O 6.808 1.206 21.931
O 6.751 3.399 7.420
O 6.902 6.612 20.891
O 6.805 8.472 0.066
O 7.087 14.040 21.930
O 7.024 6.148 7.536
O 7.015 11.228 0.064
O 7.070 8.807 7.316
O 7.128 0.992 14.885
O 7.145 3.639 14.683
O 7.199 8.883 13.457
O 7.185 13.929 6.016
O 7.199 0.977 8.696
O 7.177 6.317 1.204
O 7.352 3.594 20.773
O 7.373 11.427 16.072
O 7.607 10.171 11.243
O 7.639 15.400 3.837
O 7.678 4.674 3.537
O 7.764 5.182 18.530
O 7.771 9.840 18.370
O 7.784 14.942 17.077
O 7.804 0.121 19.729
O 7.832 15.040 10.946
O 7.820 9.679 2.335
O 7.840 10.352 4.984
O 7.917 4.568 9.754
O 7.945 5.231 12.369
O 8.808 7.106 6.033
O 8.796 12.931 1.287
O 8.923 12.331 20.779
O 8.980 7.359 21.993
O 8.958 7.808 8.632
```

- formation energy from the elements (eV per formula unit) = -208.14
- M_tot (μB per cell) = 0.00
- final energy (eV/atom) = -6.458
- space-group type = No. 1
- total energy after the MP2020 corrections (eV per atom) = -6.860


(2)
A plane-wave DFT calculation with PBE was carried out for a geometry-optimized SbH3NF6 structure.

Geometry as extended XYZ:
```
44
Lattice="3.774 -6.208 0.000 3.774 6.208 0.000 -0.551 0.000 10.894" Properties=species:S:1:pos:R:3 pbc="T T T"
Sb 0.000 0.000 0.000
Sb -0.275 0.000 5.447
Sb 3.361 1.905 8.170
Sb 3.636 -1.905 2.723
H 3.442 3.032 3.787
H 2.629 1.534 3.640
H 3.831 3.032 1.660
H 2.962 1.563 1.518
H 4.310 1.563 3.929
H 2.353 -1.534 9.087
H 4.644 1.534 1.807
H 2.687 -1.563 6.964
H 4.035 -1.563 9.376
H 3.166 -3.032 9.234
H 4.368 -1.534 7.254
H 3.555 -3.032 7.106
N 3.515 2.043 3.443
N 3.758 2.043 2.004
N 3.239 -2.043 8.890
N 3.483 -2.043 7.450
F 0.656 1.098 4.198
F 1.968 3.177 8.520
F 3.407 4.745 4.185
F 3.865 4.745 1.262
F 1.681 0.712 0.624
F 0.380 -1.098 9.645
F 2.914 1.962 6.302
F 1.406 -0.712 6.071
F 2.117 0.488 8.526
F 2.392 -0.488 3.079
F 3.808 1.962 10.038
F 4.753 3.177 7.821
F 2.244 -3.177 3.073
F 3.189 -1.962 0.855
F 4.605 0.488 7.815
F 4.880 -0.488 2.368
F 5.591 0.712 4.823
F 4.083 -1.962 4.591
F 6.617 1.098 1.249
F 5.316 -0.712 10.270
F 3.132 -4.745 9.632
F 3.590 -4.745 6.709
F 5.029 -3.177 2.374
F 6.342 -1.098 6.696
```

- formation energy from the elements (eV per formula unit) = -20.99
- M_tot (μB per cell) = 0.00
- final energy (eV/atom) = -4.759
- space-group type = No. 15
- total energy after the MP2020 corrections (eV per atom) = -5.011


(3)
A plane-wave DFT calculation with PBE was carried out for a geometry-optimized SrHfO3 structure.

Geometry as extended XYZ:
```
10
Lattice="5.777 0.000 0.000 0.000 5.777 0.000 0.000 0.000 4.173" Properties=species:S:1:pos:R:3 pbc="T T T"
Sr 0.000 2.889 0.000
Sr 2.889 0.000 0.000
Hf 0.000 0.000 2.087
Hf 2.889 2.889 2.087
O 0.000 0.000 0.000
O 1.140 1.748 2.087
O 1.748 4.637 2.087
O 2.889 2.889 0.000
O 4.029 1.140 2.087
O 4.637 4.029 2.087
```

- formation energy from the elements (eV per formula unit) = -19.00
- final energy (eV/atom) = -8.686
- space-group type = No. 127
- total energy after the MP2020 corrections (eV per atom) = -9.098


(4)
A plane-wave DFT calculation with PBE was carried out for a geometry-optimized Na6LaNb3Si6O24 structure.

Geometry as extended XYZ:
```
80
Lattice="-15.255 4.953 0.420 -2.726 -8.597 1.747 5.754 -0.359 7.224" Properties=species:S:1:pos:R:3 pbc="T T T"
Nb -0.442 -6.096 5.373
Nb -1.384 -0.590 7.357
Nb -11.757 2.106 3.999
Nb -10.375 -2.412 8.441
Nb -5.493 -4.669 4.663
Nb -6.706 0.679 4.709
O -14.397 -1.290 1.970
O -8.094 0.369 6.167
O 1.889 -2.923 7.443
O -6.433 -3.545 3.120
O -1.247 0.746 5.711
O -5.406 0.532 0.887
O -5.300 1.089 3.425
O -3.582 -5.407 8.510
O -2.038 -5.637 1.641
O -4.811 -2.908 5.257
O -1.778 -5.359 4.233
O -11.075 3.867 4.593
O -10.404 1.904 2.525
O -10.238 -1.075 6.794
O -11.121 -4.974 3.860
O 0.106 -4.374 6.258
O -2.131 -3.153 2.776
O -6.975 -1.147 4.064
O 1.864 -2.812 4.775
O -16.333 -3.393 2.613
O -8.983 -2.816 3.415
O -12.697 3.230 2.456
O -4.140 -4.871 3.189
O -9.846 1.368 7.846
O -2.931 -1.315 6.309
O -14.291 -0.733 4.509
O -5.268 -0.206 5.889
O -0.710 -7.922 4.728
O -7.102 -4.745 8.527
O -8.303 1.138 0.977
O -7.127 -4.634 5.859
O 0.997 -6.981 6.552
O -1.830 -6.406 6.830
O -12.261 -2.108 3.482
O 3.760 -0.178 6.623
O -5.231 -2.000 7.707
O -3.270 -0.286 2.398
O -4.430 -5.693 5.967
O -9.154 -3.530 7.212
O 0.008 -0.994 2.331
O -6.158 2.401 5.595
O -0.163 -1.708 6.128
O -12.695 0.567 2.958
O -10.695 1.082 5.303
O -11.921 -3.137 7.393
O -8.043 1.416 3.569
O -7.342 -1.572 1.530
O -6.431 -6.208 3.622
Na -4.575 -2.237 2.460
Na -3.592 1.414 5.809
Na -12.158 1.573 0.760
Na -10.615 -2.924 5.223
Na 2.673 -5.361 6.473
Na -13.565 -4.059 3.543
Na -5.894 -5.202 1.424
Na 0.308 -3.432 2.482
Na -7.488 -1.799 6.973
Na -8.683 -5.254 3.566
Na -1.624 -1.102 4.140
Na 1.503 0.023 5.890
Si -8.787 2.067 2.274
Si -4.550 -1.627 6.299
Si -13.540 -3.449 7.383
Si -3.434 -6.310 7.196
Si -4.336 0.886 2.127
Si -2.522 -4.708 2.937
Si -13.327 -0.936 3.211
Si -9.698 0.465 6.533
Si 0.910 -2.952 6.158
Si -7.506 -2.296 3.045
Si -8.080 -4.774 7.242
Si -13.771 4.479 2.382
La -1.804 -1.543 0.881
La -10.795 -3.365 1.965
```

- formation energy from the elements (eV per formula unit) = -119.71
- M_tot (μB per cell) = 0.00
- final energy (eV/atom) = -7.443
- total energy after the MP2020 corrections (eV per atom) = -7.855


(5)
A plane-wave DFT calculation with PBE was carried out for a geometry-optimized UMo structure.

Geometry as extended XYZ:
```
8
Lattice="5.151 0.000 0.000 0.000 3.020 0.000 -0.009 0.000 9.988" Properties=species:S:1:pos:R:3 pbc="T T T"
U 1.286 0.232 1.583
U 1.281 1.278 6.577
U 3.861 1.742 3.411
U 3.857 2.788 8.405
Mo 1.280 1.825 9.018
Mo 1.285 2.705 4.024
Mo 3.857 0.315 5.963
Mo 3.862 1.195 0.969
```

- formation energy from the elements (eV per formula unit) = 0.74
- M_tot (μB per cell) = 0.00
- final energy (eV/atom) = -10.696
- space-group type = No. 14


(6)
A plane-wave DFT calculation with PBE was carried out for a geometry-optimized SbPO5 structure.

Geometry as extended XYZ:
```
14
Lattice="3.450 -4.091 0.000 3.450 4.091 0.000 -3.160 0.000 6.406" Properties=species:S:1:pos:R:3 pbc="T T T"
Sb 0.000 0.000 0.000
Sb -1.580 0.000 3.203
P 1.080 1.376 4.804
P 2.660 -1.376 1.601
O 2.660 3.326 1.601
O 0.069 2.260 5.588
O 0.298 0.472 3.827
O 2.090 2.260 4.021
O 1.879 -0.472 0.624
O 1.861 0.472 5.781
O 1.650 -2.260 2.385
O 3.441 -0.472 2.579
O 3.670 -2.260 0.818
O 1.080 -3.326 4.804
```

- formation energy from the elements (eV per formula unit) = -15.80
- final energy (eV/atom) = -6.664
- space-group type = No. 15
- total energy after the MP2020 corrections (eV per atom) = -7.155